[1]
The following is a r²SCAN calculation of a relaxed ErCoRu crystal, from the Materials Project database.

Cell: 5.255 5.252 5.251 Å, 122.90 122.48 85.37°
Element x y z (fractional)
Er: 0.378 0.128 0.250
Er: 0.622 0.872 0.750
Co: 0.000 0.500 0.000
Co: 0.000 0.000 0.500
Ru: 0.500 0.500 0.000
Ru: 0.000 0.500 0.500

## Properties
SG: Imma (74)
ΔE_f: -298 meV per atom



[2]
The following is a r²SCAN calculation of a relaxed Er5CoSb2 crystal, from the Materials Project database.

Cell: 7.833 8.629 12.074 Å, 90.00 89.99 90.00°
Element x y z (fractional)
Er: 0.950 0.250 0.502
Er: 0.550 0.250 0.002
Er: 0.676 0.535 0.565
Er: 0.123 0.250 0.191
Er: 0.156 0.750 0.202
Er: 0.676 0.965 0.565
Er: 0.324 0.036 0.435
Er: 0.324 0.464 0.435
Er: 0.175 0.036 0.935
Er: 0.050 0.750 0.498
Er: 0.344 0.750 0.702
Er: 0.825 0.535 0.065
Er: 0.825 0.965 0.065
Er: 0.844 0.250 0.798
Er: 0.377 0.250 0.691
Er: 0.175 0.464 0.935
Er: 0.877 0.750 0.809
Er: 0.624 0.750 0.309
Er: 0.450 0.750 0.998
Er: 0.656 0.250 0.298
Sb: 0.567 0.992 0.827
Sb: 0.433 0.008 0.173
Sb: 0.567 0.508 0.827
Sb: 0.933 0.508 0.327
Sb: 0.433 0.492 0.173
Sb: 0.067 0.492 0.673
Sb: 0.933 0.992 0.327
Sb: 0.067 0.008 0.673
Co: 0.564 0.250 0.509
Co: 0.936 0.250 0.009
Co: 0.436 0.750 0.491
Co: 0.064 0.750 0.991

## Properties
SG: Pnma (62)
ΔE_f: -765 meV per atom



[3]
The following is a r²SCAN calculation of a relaxed Er2CoSi2 crystal, from the Materials Project database.

Cell: 4.122 5.504 8.898 Å, 83.34 76.61 68.01°
Element x y z (fractional)
Si: 0.650 0.264 0.435
Si: 0.350 0.736 0.565
Si: 0.504 0.867 0.125
Si: 0.496 0.133 0.875
Er: 0.188 0.729 0.895
Er: 0.998 0.675 0.329
Er: 0.002 0.325 0.671
Er: 0.812 0.271 0.105
Co: 0.728 0.918 0.627
Co: 0.272 0.082 0.373

## Properties
SG: C2/m (12)
ΔE_f: -787 meV per atom



[4]
The following is a r²SCAN calculation of a relaxed ErCoSi crystal, from the Materials Project database.

Cell: 4.132 6.790 6.835 Å, 90.00 90.00 90.00°
Element x y z (fractional)
Si: 0.250 0.304 0.607
Si: 0.250 0.804 0.893
Si: 0.750 0.196 0.107
Si: 0.750 0.696 0.393
Er: 0.250 0.982 0.310
Er: 0.750 0.018 0.690
Er: 0.250 0.482 0.190
Er: 0.750 0.518 0.810
Co: 0.250 0.645 0.563
Co: 0.750 0.855 0.063
Co: 0.750 0.355 0.437
Co: 0.250 0.145 0.937

## Properties
SG: Pnma (62)
ΔE_f: -705 meV per atom



[5]
The following is a r²SCAN calculation of a relaxed ErCo2Si2 crystal, from the Materials Project database.

Cell: 3.832 3.832 5.530 Å, 110.27 110.27 90.00°
Element x y z (fractional)
Er: 0.000 0.000 0.000
Co: 0.750 0.250 0.500
Co: 0.250 0.750 0.500
Si: 0.628 0.628 0.256
Si: 0.372 0.372 0.744

## Properties
SG: I4/mmm (139)
ΔE_f: -781 meV per atom



[6]
The following is a r²SCAN calculation of a relaxed ErCo3Si2 crystal, from the Materials Project database.

Cell: 6.184 6.184 6.184 Å, 130.40 113.54 87.28°
Element x y z (fractional)
Co: 0.500 0.000 0.000
Co: 0.779 0.500 0.279
Co: 0.279 0.000 0.279
Co: 0.721 0.000 0.721
Co: 0.000 0.000 0.500
Co: 0.221 0.500 0.721
Si: 0.920 0.123 0.203
Si: 0.580 0.783 0.203
Si: 0.420 0.217 0.797
Si: 0.080 0.877 0.797
Er: 0.250 0.535 0.285
Er: 0.750 0.465 0.715

## Properties
SG: Imma (74)
ΔE_f: -640 meV per atom



Across the entries above, calculated volume takes the values 98.0 816.2 182.0 191.8 70.8 157.3 Å³/cell, respectively.